Below is a relaxed La3Br6N crystal, with properties calculated at the meta-GGA r2SCAN level.

Output
Mass density   5.19 g/cm3
Energy relative to the elements   -2.282 eV per atom
Space group   Pbca, No. 61

The structure in POSCAR format:
```
La3Br6N
1.0
11.275 0.000 0.000
0.000 11.951 0.000
0.000 0.000 17.274
La Br N
24 48 8
Direct
0.010 0.221 0.050 La
0.010 0.279 0.550 La
0.137 0.020 0.442 La
0.137 0.480 0.942 La
0.152 0.038 0.673 La
0.152 0.462 0.173 La
0.348 0.538 0.673 La
0.348 0.962 0.173 La
0.363 0.520 0.442 La
0.363 0.980 0.942 La
0.490 0.721 0.050 La
0.490 0.779 0.550 La
0.510 0.221 0.450 La
0.510 0.279 0.950 La
0.637 0.020 0.058 La
0.637 0.480 0.558 La
0.652 0.038 0.827 La
0.652 0.462 0.327 La
0.848 0.538 0.827 La
0.848 0.962 0.327 La
0.863 0.520 0.058 La
0.863 0.980 0.558 La
0.990 0.721 0.450 La
0.990 0.779 0.950 La
0.034 0.686 0.124 Br
0.034 0.814 0.624 Br
0.105 0.584 0.775 Br
0.105 0.916 0.275 Br
0.131 0.564 0.338 Br
0.131 0.936 0.838 Br
0.142 0.531 0.555 Br
0.142 0.969 0.055 Br
0.164 0.214 0.190 Br
0.164 0.286 0.690 Br
0.243 0.216 0.954 Br
0.243 0.284 0.454 Br
0.257 0.716 0.954 Br
0.257 0.784 0.454 Br
0.336 0.714 0.190 Br
0.336 0.786 0.690 Br
0.358 0.031 0.555 Br
0.358 0.469 0.055 Br
0.369 0.064 0.338 Br
0.369 0.436 0.838 Br
0.395 0.084 0.775 Br
0.395 0.416 0.275 Br
0.466 0.186 0.124 Br
0.466 0.314 0.624 Br
0.534 0.686 0.376 Br
0.534 0.814 0.876 Br
0.605 0.584 0.725 Br
0.605 0.916 0.225 Br
0.631 0.564 0.162 Br
0.631 0.936 0.662 Br
0.642 0.531 0.945 Br
0.642 0.969 0.445 Br
0.664 0.214 0.310 Br
0.664 0.286 0.810 Br
0.743 0.216 0.546 Br
0.743 0.284 0.046 Br
0.757 0.716 0.546 Br
0.757 0.784 0.046 Br
0.836 0.714 0.310 Br
0.836 0.786 0.810 Br
0.858 0.031 0.945 Br
0.858 0.469 0.445 Br
0.869 0.064 0.162 Br
0.869 0.436 0.662 Br
0.895 0.084 0.725 Br
0.895 0.416 0.225 Br
0.966 0.186 0.376 Br
0.966 0.314 0.876 Br
0.048 0.092 0.560 N
0.048 0.408 0.060 N
0.452 0.592 0.560 N
0.452 0.908 0.060 N
0.548 0.092 0.940 N
0.548 0.408 0.440 N
0.952 0.592 0.940 N
0.952 0.908 0.440 N
```

=====

Below is a relaxed Ni3Rh crystal, with properties calculated at the meta-GGA r2SCAN level.

Output
Mass density   10.05 g/cm3
Energy relative to the elements   0.024 eV per atom
Space group   P6_3/mmc, No. 194

The structure in POSCAR format:
```
Ni3Rh
1.0
5.088 0.000 0.000
-2.544 4.406 0.000
0.000 0.000 4.111
Ni Rh
6 2
Direct
0.163 0.327 0.250 Ni
0.163 0.837 0.250 Ni
0.327 0.163 0.750 Ni
0.673 0.837 0.250 Ni
0.837 0.163 0.750 Ni
0.837 0.673 0.750 Ni
0.333 0.667 0.750 Rh
0.667 0.333 0.250 Rh
```

=====

Below is a relaxed LaYbTl2 crystal, with properties calculated at the meta-GGA r2SCAN level.

Output
Mass density   10.50 g/cm3
Energy relative to the elements   -0.455 eV per atom
Space group   Fm-3m, No. 225

The structure in POSCAR format:
```
LaYbTl2
1.0
0.000 3.849 3.849
3.849 0.000 3.849
3.849 3.849 0.000
La Yb Tl
1 1 2
Direct
0.000 0.000 0.000 La
0.500 0.500 0.500 Yb
0.250 0.250 0.250 Tl
0.750 0.750 0.750 Tl
```

=====

Below is a relaxed Tm2IrRh crystal, with properties calculated at the meta-GGA r2SCAN level.

Output
Mass density   13.92 g/cm3
Energy relative to the elements   -1.070 eV per atom
Space group   Fm-3m, No. 225

The structure in POSCAR format:
```
Tm2IrRh
1.0
0.000 3.355 3.355
3.355 0.000 3.355
3.355 3.355 0.000
Tm Ir Rh
2 1 1
Direct
0.250 0.250 0.250 Tm
0.750 0.750 0.750 Tm
0.000 0.000 0.000 Ir
0.500 0.500 0.500 Rh
```

=====

- Which of these has the lowest mass density?
  La3Br6N